{"formula": "Li2MgCl4", "functional": "meta-GGA r2SCAN", "state": "relaxed", "cell": [[-3.654, 3.688, 5.179], [3.654, -3.688, 5.179], [3.654, 3.688, -5.179]], "species": ["Li", "Li", "Li", "Li", "Mg", "Mg", "Cl", "Cl", "Cl", "Cl", "Cl", "Cl", "Cl", "Cl"], "fractional_positions": [[0.000, 0.000, 0.500], [0.000, 0.500, 0.000], [0.385, 0.135, 0.250], [0.615, 0.865, 0.750], [0.000, 0.500, 0.500], [0.500, 0.500, 0.000], [0.225, 0.739, 0.487], [0.247, 0.261, 0.514], [0.247, 0.734, 0.986], [0.248, 0.261, 0.987], [0.752, 0.739, 0.013], [0.753, 0.266, 0.014], [0.753, 0.739, 0.486], [0.775, 0.261, 0.513]], "delta_e_f_mev_per_atom": -2052, "energy_ev_per_cell": -95.840, "spacegroup": "Imma (74)", "mass_density_g_cm3": 2.141}


{"formula": "LiMg2Cl3", "functional": "meta-GGA r2SCAN", "state": "relaxed", "cell": [[21.018, 0.000, 0.000], [0.000, 14.750, 0.000], [0.000, 0.000, 14.750]], "species": ["Cl", "Cl", "Cl", "Cl", "Cl", "Cl", "Cl", "Cl", "Cl", "Cl", "Cl", "Cl", "Cl", "Cl", "Cl", "Cl", "Cl", "Cl", "Cl", "Cl", "Cl", "Cl", "Cl", "Cl", "Cl", "Cl", "Cl", "Cl", "Cl", "Cl", "Cl", "Cl", "Cl", "Cl", "Cl", "Cl", "Cl", "Cl", "Cl", "Cl", "Cl", "Cl", "Cl", "Cl", "Cl", "Cl", "Cl", "Cl", "Cl", "Cl", "Cl", "Cl", "Cl", "Cl", "Cl", "Cl", "Cl", "Cl", "Cl", "Cl", "Cl", "Cl", "Cl", "Cl", "Cl", "Cl", "Cl", "Cl", "Cl", "Cl", "Cl", "Cl", "Cl", "Cl", "Cl", "Cl", "Cl", "Cl", "Cl", "Cl", "Cl", "Cl", "Cl", "Cl", "Cl", "Cl", "Cl", "Cl", "Cl", "Cl", "Cl", "Cl", "Cl", "Cl", "Cl", "Cl", "Cl", "Cl", "Cl", "Cl", "Cl", "Cl", "Cl", "Cl", "Cl", "Cl", "Cl", "Cl", "Mg", "Mg", "Mg", "Mg", "Mg", "Mg", "Mg", "Mg", "Mg", "Mg", "Mg", "Mg", "Mg", "Mg", "Mg", "Mg", "Mg", "Mg", "Mg", "Mg", "Mg", "Mg", "Mg", "Mg", "Mg", "Mg", "Mg", "Mg", "Mg", "Mg", "Mg", "Mg", "Mg", "Mg", "Mg", "Mg", "Mg", "Mg", "Mg", "Mg", "Mg", "Mg", "Mg", "Mg", "Mg", "Mg", "Mg", "Mg", "Mg", "Mg", "Mg", "Mg", "Mg", "Mg", "Mg", "Mg", "Mg", "Mg", "Mg", "Mg", "Mg", "Mg", "Mg", "Mg", "Mg", "Mg", "Mg", "Mg", "Mg", "Mg", "Mg", "Mg", "Li", "Li", "Li", "Li", "Li", "Li", "Li", "Li", "Li", "Li", "Li", "Li", "Li", "Li", "Li", "Li", "Li", "Li", "Li", "Li", "Li", "Li", "Li", "Li", "Li", "Li", "Li", "Li", "Li", "Li", "Li", "Li", "Li", "Li", "Li", "Li"], "fractional_positions": [[0.386, 0.667, 0.833], [0.500, 0.333, 0.333], [0.873, 0.833, 0.500], [0.127, 0.167, 0.833], [0.386, 0.833, 0.000], [0.873, 0.167, 0.833], [0.386, 0.500, 0.333], [0.614, 0.000, 0.500], [0.386, 0.167, 0.000], [0.386, 0.833, 0.333], [0.500, 0.000, 0.000], [0.386, 0.000, 0.833], [0.614, 0.833, 0.667], [0.614, 0.000, 0.833], [0.500, 0.667, 0.333], [0.614, 0.667, 0.167], [0.863, 0.000, 0.333], [0.137, 0.667, 0.333], [0.000, 0.667, 0.833], [0.500, 0.667, 0.667], [0.127, 0.167, 0.500], [0.500, 0.167, 0.167], [0.863, 0.333, 0.333], [0.386, 0.000, 0.500], [0.137, 0.000, 0.667], [0.863, 0.667, 0.000], [0.500, 0.833, 0.500], [0.500, 0.500, 0.500], [0.873, 0.833, 0.833], [0.000, 0.833, 0.000], [0.614, 0.333, 0.167], [0.000, 0.500, 0.333], [0.614, 0.500, 0.000], [0.000, 0.333, 0.167], [0.127, 0.500, 0.500], [0.386, 0.833, 0.667], [0.386, 0.167, 0.333], [0.500, 0.833, 0.167], [0.873, 0.500, 0.167], [0.137, 0.333, 0.333], [0.614, 0.167, 0.333], [0.386, 0.667, 0.167], [0.873, 0.167, 0.167], [0.863, 0.000, 0.667], [0.386, 0.500, 0.667], [0.000, 0.333, 0.833], [0.386, 0.500, 0.000], [0.137, 0.333, 0.667], [0.614, 0.333, 0.500], [0.000, 0.500, 0.000], [0.500, 0.167, 0.833], [0.000, 0.833, 0.667], [0.137, 0.667, 0.000], [0.500, 0.333, 0.667], [0.614, 0.833, 0.333], [0.863, 0.667, 0.667], [0.000, 0.167, 0.333], [0.500, 0.667, 0.000], [0.127, 0.167, 0.167], [0.127, 0.500, 0.833], [0.500, 0.833, 0.833], [0.137, 0.333, 0.000], [0.127, 0.833, 0.167], [0.000, 0.167, 0.000], [0.386, 0.000, 0.167], [0.000, 0.333, 0.500], [0.386, 0.333, 0.833], [0.000, 0.000, 0.833], [0.000, 0.667, 0.167], [0.614, 0.833, 0.000], [0.614, 0.167, 0.667], [0.137, 0.000, 0.000], [0.000, 0.167, 0.667], [0.614, 0.667, 0.500], [0.873, 0.500, 0.500], [0.500, 0.000, 0.667], [0.614, 0.667, 0.833], [0.873, 0.833, 0.167], [0.863, 0.333, 0.000], [0.127, 0.833, 0.500], [0.500, 0.333, 0.000], [0.614, 0.500, 0.333], [0.000, 0.500, 0.667], [0.500, 0.500, 0.167], [0.863, 0.667, 0.333], [0.500, 0.000, 0.333], [0.386, 0.667, 0.500], [0.386, 0.333, 0.500], [0.127, 0.833, 0.833], [0.873, 0.500, 0.833], [0.614, 0.500, 0.667], [0.386, 0.333, 0.167], [0.863, 0.000, 0.000], [0.386, 0.167, 0.667], [0.614, 0.000, 0.167], [0.000, 0.667, 0.500], [0.000, 0.000, 0.167], [0.863, 0.333, 0.667], [0.000, 0.000, 0.500], [0.137, 0.667, 0.667], [0.000, 0.833, 0.333], [0.127, 0.500, 0.167], [0.614, 0.167, 0.000], [0.500, 0.500, 0.833], [0.614, 0.333, 0.833], [0.137, 0.000, 0.333], [0.500, 0.167, 0.500], [0.873, 0.167, 0.500], [0.810, 0.667, 0.500], [0.287, 0.833, 0.500], [0.500, 0.500, 0.333], [0.810, 0.333, 0.500], [0.190, 0.167, 0.667], [0.500, 0.500, 0.000], [0.190, 0.333, 0.500], [0.190, 0.333, 0.167], [0.190, 0.833, 0.000], [0.190, 0.833, 0.667], [0.810, 0.833, 0.667], [0.810, 0.000, 0.167], [0.287, 0.167, 0.167], [0.190, 0.667, 0.833], [0.810, 0.667, 0.167], [0.287, 0.167, 0.833], [0.500, 0.833, 0.000], [0.713, 0.833, 0.500], [0.190, 0.500, 0.667], [0.810, 0.500, 0.000], [0.190, 0.833, 0.333], [0.190, 0.333, 0.833], [0.190, 0.000, 0.833], [0.190, 0.500, 0.000], [0.500, 0.500, 0.667], [0.190, 0.667, 0.500], [0.810, 0.000, 0.500], [0.713, 0.167, 0.167], [0.190, 0.167, 0.000], [0.810, 0.333, 0.833], [0.500, 0.000, 0.500], [0.190, 0.167, 0.333], [0.500, 0.000, 0.833], [0.287, 0.500, 0.500], [0.287, 0.167, 0.500], [0.190, 0.500, 0.333], [0.500, 0.667, 0.167], [0.713, 0.833, 0.167], [0.810, 0.833, 0.000], [0.810, 0.500, 0.333], [0.287, 0.500, 0.833], [0.190, 0.667, 0.167], [0.500, 0.833, 0.667], [0.810, 0.167, 0.667], [0.713, 0.167, 0.833], [0.287, 0.500, 0.167], [0.500, 0.333, 0.833], [0.810, 0.500, 0.667], [0.713, 0.167, 0.500], [0.500, 0.667, 0.833], [0.713, 0.500, 0.167], [0.500, 0.167, 0.667], [0.190, 0.000, 0.167], [0.810, 0.333, 0.167], [0.713, 0.500, 0.500], [0.287, 0.833, 0.833], [0.500, 0.667, 0.500], [0.500, 0.333, 0.500], [0.810, 0.167, 0.333], [0.713, 0.500, 0.833], [0.500, 0.167, 0.333], [0.500, 0.167, 0.000], [0.810, 0.167, 0.000], [0.190, 0.000, 0.500], [0.287, 0.833, 0.167], [0.810, 0.667, 0.833], [0.810, 0.833, 0.333], [0.810, 0.000, 0.833], [0.500, 0.000, 0.167], [0.713, 0.833, 0.833], [0.500, 0.833, 0.333], [0.500, 0.333, 0.167], [0.000, 0.833, 0.833], [0.000, 0.000, 0.333], [0.333, 0.333, 0.333], [0.667, 0.000, 0.333], [0.000, 0.667, 0.333], [0.667, 0.333, 0.667], [0.000, 0.000, 0.000], [0.000, 0.500, 0.833], [0.333, 0.667, 0.333], [0.667, 0.667, 0.333], [0.000, 0.333, 0.667], [0.667, 0.667, 0.000], [0.000, 0.333, 0.333], [0.000, 0.500, 0.500], [0.333, 0.000, 0.333], [0.333, 0.000, 0.000], [0.333, 0.333, 0.667], [0.667, 0.333, 0.000], [0.333, 0.667, 0.000], [0.000, 0.333, 0.000], [0.000, 0.500, 0.167], [0.000, 0.167, 0.500], [0.000, 0.833, 0.167], [0.000, 0.167, 0.833], [0.667, 0.333, 0.333], [0.333, 0.333, 0.000], [0.000, 0.167, 0.167], [0.667, 0.667, 0.667], [0.000, 0.000, 0.667], [0.667, 0.000, 0.000], [0.000, 0.667, 0.000], [0.000, 0.667, 0.667], [0.333, 0.667, 0.667], [0.667, 0.000, 0.667], [0.000, 0.833, 0.500], [0.333, 0.000, 0.667]], "delta_e_f_mev_per_atom": -1381, "energy_ev_per_cell": -1348.819, "mass_density_g_cm3": 2.117}


{"formula": "Li10Mg7Cl24", "functional": "meta-GGA r2SCAN", "state": "relaxed", "cell": [[-0.042, -1.995, 12.517], [-6.995, -2.328, -0.394], [11.464, -33.511, -5.519]], "species": ["Cl", "Cl", "Cl", "Cl", "Cl", "Cl", "Cl", "Cl", "Cl", "Cl", "Cl", "Cl", "Cl", "Cl", "Cl", "Cl", "Cl", "Cl", "Cl", "Cl", "Cl", "Cl", "Cl", "Cl", "Cl", "Cl", "Cl", "Cl", "Cl", "Cl", "Cl", "Cl", "Cl", "Cl", "Cl", "Cl", "Cl", "Cl", "Cl", "Cl", "Cl", "Cl", "Cl", "Cl", "Cl", "Cl", "Cl", "Cl", "Cl", "Cl", "Cl", "Cl", "Cl", "Cl", "Cl", "Cl", "Cl", "Cl", "Cl", "Cl", "Cl", "Cl", "Cl", "Cl", "Cl", "Cl", "Cl", "Cl", "Cl", "Cl", "Cl", "Cl", "Cl", "Cl", "Cl", "Cl", "Cl", "Cl", "Cl", "Cl", "Cl", "Cl", "Cl", "Cl", "Cl", "Cl", "Cl", "Cl", "Cl", "Cl", "Cl", "Cl", "Cl", "Cl", "Cl", "Cl", "Mg", "Mg", "Mg", "Mg", "Mg", "Mg", "Mg", "Mg", "Mg", "Mg", "Mg", "Mg", "Mg", "Mg", "Mg", "Mg", "Mg", "Mg", "Mg", "Mg", "Mg", "Mg", "Mg", "Mg", "Mg", "Mg", "Mg", "Mg", "Li", "Li", "Li", "Li", "Li", "Li", "Li", "Li", "Li", "Li", "Li", "Li", "Li", "Li", "Li", "Li", "Li", "Li", "Li", "Li", "Li", "Li", "Li", "Li", "Li", "Li", "Li", "Li", "Li", "Li", "Li", "Li", "Li", "Li", "Li", "Li", "Li", "Li", "Li", "Li"], "fractional_positions": [[0.006, 0.000, 0.377], [0.425, 0.236, 0.456], [0.172, 0.500, 0.711], [0.593, 0.735, 0.791], [0.996, 0.500, 0.623], [0.092, 0.236, 0.289], [0.576, 0.233, 0.043], [0.164, 0.000, 0.954], [0.742, 0.733, 0.876], [0.172, 0.500, 0.210], [0.742, 0.267, 0.876], [0.575, 0.236, 0.544], [0.076, 0.267, 0.043], [0.672, 0.000, 0.210], [0.925, 0.264, 0.456], [0.004, 0.500, 0.878], [0.742, 0.264, 0.377], [0.003, 0.500, 0.377], [0.758, 0.762, 0.123], [0.994, 0.000, 0.623], [0.336, 0.500, 0.544], [0.592, 0.264, 0.289], [0.996, 0.500, 0.121], [0.408, 0.264, 0.711], [0.092, 0.764, 0.289], [0.838, 0.000, 0.046], [0.925, 0.736, 0.456], [0.331, 0.500, 0.289], [0.827, 0.500, 0.791], [0.925, 0.262, 0.958], [0.332, 0.500, 0.789], [0.503, 0.000, 0.377], [0.341, 0.000, 0.042], [0.925, 0.738, 0.958], [0.664, 0.500, 0.954], [0.908, 0.236, 0.711], [0.576, 0.767, 0.043], [0.575, 0.764, 0.544], [0.093, 0.235, 0.791], [0.593, 0.265, 0.791], [0.258, 0.262, 0.123], [0.242, 0.236, 0.377], [0.909, 0.236, 0.210], [0.494, 0.500, 0.623], [0.742, 0.736, 0.377], [0.169, 0.000, 0.710], [0.425, 0.762, 0.958], [0.839, 0.500, 0.543], [0.507, 0.500, 0.876], [0.672, 0.000, 0.711], [0.164, 0.000, 0.456], [0.338, 0.500, 0.046], [0.258, 0.738, 0.123], [0.258, 0.265, 0.623], [0.425, 0.764, 0.456], [0.339, 0.000, 0.543], [0.425, 0.238, 0.958], [0.669, 0.500, 0.710], [0.007, 0.000, 0.876], [0.661, 0.000, 0.456], [0.669, 0.500, 0.211], [0.664, 0.500, 0.456], [0.832, 0.000, 0.789], [0.506, 0.500, 0.377], [0.504, 0.000, 0.878], [0.592, 0.736, 0.289], [0.758, 0.765, 0.623], [0.841, 0.500, 0.042], [0.408, 0.736, 0.711], [0.758, 0.235, 0.623], [0.908, 0.764, 0.711], [0.093, 0.765, 0.791], [0.836, 0.000, 0.544], [0.328, 0.000, 0.290], [0.496, 0.000, 0.121], [0.076, 0.733, 0.043], [0.997, 0.000, 0.124], [0.169, 0.000, 0.211], [0.831, 0.000, 0.289], [0.162, 0.500, 0.958], [0.242, 0.233, 0.876], [0.075, 0.264, 0.544], [0.075, 0.736, 0.544], [0.327, 0.000, 0.791], [0.662, 0.000, 0.958], [0.758, 0.238, 0.123], [0.409, 0.736, 0.210], [0.242, 0.767, 0.876], [0.161, 0.500, 0.456], [0.828, 0.500, 0.290], [0.496, 0.000, 0.623], [0.497, 0.500, 0.124], [0.258, 0.735, 0.623], [0.409, 0.264, 0.210], [0.909, 0.764, 0.210], [0.242, 0.764, 0.377], [0.415, 0.743, 0.084], [0.084, 0.250, 0.417], [0.080, 0.258, 0.917], [0.915, 0.243, 0.084], [0.580, 0.758, 0.917], [0.000, 0.500, 0.997], [0.250, 0.750, 0.250], [0.415, 0.257, 0.084], [0.749, 0.252, 0.750], [0.915, 0.757, 0.084], [0.249, 0.752, 0.750], [0.416, 0.750, 0.583], [0.080, 0.742, 0.917], [0.750, 0.250, 0.250], [0.250, 0.250, 0.250], [0.084, 0.750, 0.417], [0.168, 0.000, 0.830], [0.584, 0.250, 0.417], [0.916, 0.250, 0.583], [0.580, 0.242, 0.917], [0.416, 0.250, 0.583], [0.500, 0.000, 0.997], [0.668, 0.500, 0.830], [0.584, 0.750, 0.417], [0.750, 0.750, 0.250], [0.749, 0.748, 0.750], [0.916, 0.750, 0.583], [0.249, 0.248, 0.750], [0.658, 0.500, 0.524], [0.675, 0.500, 0.644], [0.325, 0.500, 0.357], [0.667, 0.500, 0.334], [0.655, 0.500, 0.019], [0.333, 0.500, 0.168], [0.842, 0.000, 0.477], [0.155, 0.000, 0.019], [0.502, 0.500, 0.750], [0.825, 0.000, 0.357], [0.174, 0.500, 0.084], [0.002, 0.000, 0.750], [0.176, 0.000, 0.145], [0.492, 0.000, 0.691], [0.833, 0.000, 0.168], [0.992, 0.500, 0.691], [0.167, 0.000, 0.334], [0.491, 0.000, 0.189], [0.509, 0.000, 0.311], [0.674, 0.000, 0.084], [0.500, 0.000, 0.500], [0.334, 0.000, 0.417], [0.342, 0.000, 0.917], [0.158, 0.000, 0.524], [0.676, 0.500, 0.145], [0.000, 0.000, 0.251], [0.666, 0.000, 0.584], [0.842, 0.500, 0.917], [0.342, 0.500, 0.477], [0.166, 0.500, 0.584], [0.175, 0.000, 0.644], [0.333, 0.500, 0.667], [0.000, 0.500, 0.500], [0.834, 0.500, 0.417], [0.824, 0.000, 0.854], [0.500, 0.500, 0.251], [0.833, 0.000, 0.667], [0.324, 0.500, 0.854], [0.009, 0.500, 0.311], [0.991, 0.500, 0.189]], "delta_e_f_mev_per_atom": -2053, "energy_ev_per_cell": -1139.610, "mass_density_g_cm3": 2.159}


{"formula": "Li2MgCl4", "functional": "meta-GGA r2SCAN", "state": "relaxed", "cell": [[3.617, 0.000, 0.000], [0.000, 11.563, 0.000], [-0.141, 0.000, 6.480]], "species": ["Li", "Li", "Li", "Li", "Mg", "Mg", "Cl", "Cl", "Cl", "Cl", "Cl", "Cl", "Cl", "Cl"], "fractional_positions": [[0.003, 0.184, 0.087], [0.003, 0.316, 0.587], [0.997, 0.684, 0.413], [0.997, 0.816, 0.913], [0.500, 0.000, 0.500], [0.500, 0.500, 0.000], [0.010, 0.041, 0.754], [0.010, 0.459, 0.254], [0.499, 0.704, 0.127], [0.499, 0.796, 0.627], [0.501, 0.204, 0.373], [0.501, 0.296, 0.873], [0.990, 0.541, 0.746], [0.990, 0.959, 0.246]], "delta_e_f_mev_per_atom": -1997, "energy_ev_per_cell": -95.067, "spacegroup": "P2_1/c (14)", "mass_density_g_cm3": 2.206}